This record from the Materials Project database describes a relaxed Li4UO5 crystal. The functional is PBE.

Unit cell a=5.292 b=5.292 c=5.292 alpha=100.24 beta=100.24 gamma=130.14
Fractional positions:
Li 0.084 0.314 0.397
Li 0.314 0.916 0.230
Li 0.686 0.084 0.770
Li 0.916 0.686 0.603
U 0.500 0.500 0.000
O 0.000 0.000 0.000
O 0.213 0.587 0.800
O 0.413 0.213 0.627
O 0.587 0.787 0.373
O 0.787 0.413 0.200

Total DFT energy (no corrections) = -6.917 eV/atom

***

This record from the Materials Project database describes a relaxed Ba3N2 crystal. The functional is PBE.

Unit cell a=5.369 b=5.369 c=5.369 alpha=90.00 beta=90.00 gamma=90.00
Fractional positions:
Ba 0.000 0.000 0.500
Ba 0.000 0.500 0.000
Ba 0.500 0.000 0.000
N 0.000 0.000 0.000
N 0.500 0.500 0.500

Total DFT energy (no corrections) = -4.229 eV/atom

***

This record from the Materials Project database describes a relaxed Sb2Se3 crystal. The functional is PBE.

Unit cell a=12.823 b=3.808 c=15.056 alpha=90.00 beta=90.00 gamma=90.00
Fractional positions:
Sb 0.015 0.250 0.239
Sb 0.187 0.250 0.443
Sb 0.313 0.750 0.943
Sb 0.485 0.750 0.739
Sb 0.515 0.250 0.261
Sb 0.687 0.250 0.057
Sb 0.813 0.750 0.557
Sb 0.985 0.750 0.761
Se 0.040 0.250 0.648
Se 0.179 0.250 0.983
Se 0.212 0.250 0.270
Se 0.288 0.750 0.770
Se 0.321 0.750 0.483
Se 0.460 0.750 0.148
Se 0.540 0.250 0.852
Se 0.679 0.250 0.517
Se 0.712 0.250 0.230
Se 0.788 0.750 0.730
Se 0.821 0.750 0.017
Se 0.960 0.750 0.352

Total DFT energy (no corrections) = -3.910 eV/atom

***

This record from the Materials Project database describes a relaxed PrSi crystal. The functional is PBE.

Unit cell a=8.340 b=3.968 c=5.972 alpha=90.00 beta=90.00 gamma=90.00
Fractional positions:
Pr 0.180 0.250 0.114
Pr 0.320 0.750 0.614
Pr 0.680 0.250 0.386
Pr 0.820 0.750 0.886
Si 0.035 0.250 0.620
Si 0.465 0.750 0.120
Si 0.535 0.250 0.880
Si 0.965 0.750 0.380

Total DFT energy (no corrections) = -5.845 eV/atom

***

This record from the Materials Project database describes a relaxed TaSn3 crystal. The functional is PBE.

Unit cell a=6.292 b=6.292 c=5.406 alpha=90.00 beta=90.00 gamma=120.00
Fractional positions:
Ta 0.333 0.667 0.250
Ta 0.667 0.333 0.750
Sn 0.174 0.348 0.750
Sn 0.174 0.826 0.750
Sn 0.348 0.174 0.250
Sn 0.652 0.826 0.750
Sn 0.826 0.174 0.250
Sn 0.826 0.652 0.250

Total DFT energy (no corrections) = -5.511 eV/atom

***

This record from the Materials Project database describes a relaxed BaEuZr2O6 crystal. The functional is PBE.

Unit cell a=8.455 b=8.455 c=8.446 alpha=90.00 beta=90.00 gamma=90.00
Fractional positions:
Ba 0.000 0.000 0.000
Ba 0.000 0.500 0.000
Ba 0.500 0.000 0.000
Ba 0.500 0.500 0.500
Eu 0.000 0.000 0.500
Eu 0.000 0.500 0.500
Eu 0.500 0.000 0.500
Eu 0.500 0.500 0.000
Zr 0.250 0.250 0.252
Zr 0.250 0.250 0.748
Zr 0.250 0.750 0.252
Zr 0.250 0.750 0.748
Zr 0.750 0.250 0.252
Zr 0.750 0.250 0.748
Zr 0.750 0.750 0.252
Zr 0.750 0.750 0.748
O 0.000 0.249 0.254
O 0.000 0.249 0.746
O 0.000 0.751 0.254
O 0.000 0.751 0.746
O 0.248 0.248 0.500
O 0.248 0.752 0.500
O 0.249 0.000 0.254
O 0.249 0.000 0.746
O 0.250 0.500 0.252
O 0.250 0.500 0.748
O 0.252 0.252 0.000
O 0.252 0.748 0.000
O 0.500 0.250 0.252
O 0.500 0.250 0.748
O 0.500 0.750 0.252
O 0.500 0.750 0.748
O 0.748 0.252 0.000
O 0.748 0.748 0.000
O 0.750 0.500 0.252
O 0.750 0.500 0.748
O 0.751 0.000 0.254
O 0.751 0.000 0.746
O 0.752 0.248 0.500
O 0.752 0.752 0.500

Offset from the most stable computed form = 0.000 eV per atom
Total DFT energy (no corrections) = -9.081 eV/atom

***

This record from the Materials Project database describes a relaxed Mg7Si4 crystal. The functional is PBE.

Unit cell a=5.270 b=6.102 c=14.177 alpha=96.39 beta=94.41 gamma=101.00
Fractional positions:
Mg 0.000 0.000 0.000
Mg 0.001 0.521 0.020
Mg 0.203 0.310 0.668
Mg 0.230 0.558 0.464
Mg 0.241 0.047 0.466
Mg 0.249 0.817 0.678
Mg 0.351 0.294 0.287
Mg 0.479 0.350 0.087
Mg 0.482 0.074 0.884
Mg 0.519 0.585 0.901
Mg 0.532 0.870 0.123
Mg 0.722 0.390 0.537
Mg 0.742 0.892 0.557
Mg 0.812 0.139 0.343
Si 0.035 0.267 0.849
Si 0.039 0.684 0.846
Si 0.372 0.823 0.302
Si 0.681 0.189 0.714
Si 0.692 0.608 0.712
Si 0.729 0.648 0.371
Si 0.940 0.264 0.166
Si 0.944 0.670 0.215

Offset from the most stable computed form = 0.087 eV per atom
Total DFT energy (no corrections) = -2.881 eV/atom

***

This record from the Materials Project database describes a relaxed RbSm3F10 crystal. The functional is PBE.

Unit cell a=8.500 b=8.500 c=8.500 alpha=60.00 beta=60.00 gamma=60.00
Fractional positions:
Rb 0.250 0.250 0.250
Rb 0.750 0.750 0.750
Sm 0.240 0.240 0.760
Sm 0.240 0.760 0.240
Sm 0.240 0.760 0.760
Sm 0.760 0.240 0.240
Sm 0.760 0.240 0.760
Sm 0.760 0.760 0.240
F 0.111 0.111 0.111
F 0.111 0.111 0.668
F 0.111 0.668 0.111
F 0.170 0.500 0.500
F 0.170 0.500 0.830
F 0.170 0.830 0.500
F 0.332 0.889 0.889
F 0.500 0.170 0.500
F 0.500 0.170 0.830
F 0.500 0.500 0.170
F 0.500 0.500 0.830
F 0.500 0.830 0.170
F 0.500 0.830 0.500
F 0.668 0.111 0.111
F 0.830 0.170 0.500
F 0.830 0.500 0.170
F 0.830 0.500 0.500
F 0.889 0.332 0.889
F 0.889 0.889 0.332
F 0.889 0.889 0.889

Total DFT energy (no corrections) = -6.379 eV/atom

***

This record from the Materials Project database describes a relaxed Li3In2P3O12 crystal. The functional is PBE.

Unit cell a=8.702 b=9.001 c=15.189 alpha=90.00 beta=124.92 gamma=90.00
Fractional positions:
Li 0.000 0.218 0.180
Li 0.000 0.282 0.680
Li 0.000 0.718 0.320
Li 0.000 0.782 0.820
Li 0.284 0.012 0.848
Li 0.284 0.488 0.348
Li 0.399 0.086 0.314
Li 0.399 0.414 0.814
Li 0.601 0.586 0.186
Li 0.601 0.914 0.686
Li 0.716 0.512 0.652
Li 0.716 0.988 0.152
In 0.138 0.038 0.397
In 0.138 0.462 0.897
In 0.339 0.031 0.102
In 0.339 0.469 0.602
In 0.661 0.531 0.398
In 0.661 0.969 0.898
In 0.862 0.538 0.103
In 0.862 0.962 0.603
P 0.037 0.607 0.654
P 0.037 0.893 0.154
P 0.268 0.120 0.657
P 0.268 0.380 0.157
P 0.446 0.748 0.492
P 0.446 0.752 0.992
P 0.554 0.248 0.008
P 0.554 0.252 0.508
P 0.732 0.620 0.843
P 0.732 0.880 0.343
P 0.963 0.107 0.846
P 0.963 0.393 0.346
O 0.018 0.739 0.193
O 0.018 0.761 0.693
O 0.132 0.007 0.249
O 0.132 0.493 0.749
O 0.135 0.078 0.694
O 0.135 0.422 0.194
O 0.146 0.615 0.603
O 0.146 0.885 0.103
O 0.163 0.099 0.536
O 0.163 0.401 0.036
O 0.165 0.043 0.927
O 0.165 0.457 0.427
O 0.245 0.688 0.939
O 0.245 0.812 0.439
O 0.302 0.209 0.182
O 0.302 0.291 0.682
O 0.406 0.128 0.447
O 0.406 0.372 0.947
O 0.449 0.027 0.721
O 0.449 0.473 0.221
O 0.452 0.670 0.403
O 0.452 0.830 0.903
O 0.490 0.637 0.582
O 0.490 0.863 0.082
O 0.510 0.137 0.918
O 0.510 0.363 0.418
O 0.548 0.170 0.097
O 0.548 0.330 0.597
O 0.551 0.527 0.779
O 0.551 0.973 0.279
O 0.594 0.628 0.053
O 0.594 0.872 0.553
O 0.698 0.709 0.318
O 0.698 0.791 0.818
O 0.755 0.188 0.561
O 0.755 0.312 0.061
O 0.835 0.543 0.573
O 0.835 0.957 0.073
O 0.837 0.599 0.964
O 0.837 0.901 0.464
O 0.854 0.115 0.897
O 0.854 0.385 0.397
O 0.865 0.578 0.806
O 0.865 0.922 0.306
O 0.868 0.507 0.251
O 0.868 0.993 0.751
O 0.982 0.239 0.307
O 0.982 0.261 0.807

Offset from the most stable computed form = 0.003 eV per atom
Total DFT energy (no corrections) = -6.515 eV/atom

***

This record from the Materials Project database describes a relaxed Li7CuSi2O8 crystal. The functional is PBE.

Unit cell a=8.377 b=8.377 c=7.812 alpha=90.61 beta=90.61 gamma=44.53
Fractional positions:
Li 0.000 0.000 0.000
Li 0.061 0.570 0.158
Li 0.073 0.073 0.704
Li 0.173 0.658 0.626
Li 0.342 0.827 0.374
Li 0.352 0.352 0.853
Li 0.430 0.939 0.842
Li 0.500 0.500 0.000
Li 0.570 0.061 0.158
Li 0.648 0.648 0.147
Li 0.658 0.173 0.626
Li 0.827 0.342 0.374
Li 0.927 0.927 0.296
Li 0.939 0.430 0.842
Cu 0.268 0.268 0.402
Cu 0.732 0.732 0.598
Si 0.145 0.145 0.149
Si 0.427 0.427 0.288
Si 0.573 0.573 0.712
Si 0.855 0.855 0.851
O 0.019 0.590 0.780
O 0.048 0.048 0.237
O 0.132 0.132 0.940
O 0.176 0.605 0.385
O 0.384 0.384 0.092
O 0.395 0.824 0.615
O 0.410 0.981 0.220
O 0.468 0.468 0.737
O 0.532 0.532 0.263
O 0.590 0.019 0.780
O 0.605 0.176 0.385
O 0.616 0.616 0.908
O 0.824 0.395 0.615
O 0.868 0.868 0.060
O 0.952 0.952 0.763
O 0.981 0.410 0.220

Total DFT energy (no corrections) = -5.913 eV/atom

***

This record from the Materials Project database describes a relaxed CrN2 crystal. The functional is PBE.

Unit cell a=7.778 b=7.778 c=7.804 alpha=104.45 beta=104.45 gamma=119.92
Fractional positions:
Cr 0.152 0.838 0.963
Cr 0.162 0.848 0.537
Cr 0.251 0.466 0.926
Cr 0.466 0.251 0.426
Cr 0.534 0.749 0.574
Cr 0.749 0.534 0.074
Cr 0.838 0.152 0.463
Cr 0.848 0.162 0.037
N 0.088 0.307 0.675
N 0.102 0.336 0.042
N 0.124 0.876 0.750
N 0.284 0.715 0.980
N 0.285 0.716 0.520
N 0.307 0.088 0.175
N 0.336 0.102 0.542
N 0.500 0.500 0.000
N 0.500 0.500 0.500
N 0.664 0.898 0.458
N 0.693 0.912 0.825
N 0.715 0.284 0.480
N 0.716 0.285 0.020
N 0.876 0.124 0.250
N 0.898 0.664 0.958
N 0.912 0.693 0.325

Total DFT energy (no corrections) = -8.613 eV/atom

***

This record from the Materials Project database describes a relaxed KRb2AuF6 crystal. The functional is PBE.

Unit cell a=6.608 b=6.608 c=6.608 alpha=60.00 beta=60.00 gamma=60.00
Fractional positions:
K 0.000 0.000 0.000
Rb 0.250 0.250 0.250
Rb 0.750 0.750 0.750
Au 0.500 0.500 0.500
F 0.270 0.270 0.730
F 0.270 0.730 0.270
F 0.270 0.730 0.730
F 0.730 0.270 0.270
F 0.730 0.270 0.730
F 0.730 0.730 0.270

Total DFT energy (no corrections) = -3.831 eV/atom

***

This record from the Materials Project database describes a relaxed Sr2CuCO5 crystal. The functional is PBE.

Unit cell a=3.705 b=7.583 c=4.351 alpha=90.00 beta=90.00 gamma=90.00
Fractional positions:
Sr 0.000 0.226 0.000
Sr 0.000 0.774 0.000
Cu 0.500 0.000 0.505
C 0.500 0.500 0.519
O 0.000 0.000 0.503
O 0.500 0.000 0.997
O 0.500 0.350 0.376
O 0.500 0.500 0.817
O 0.500 0.650 0.376

Offset from the most stable computed form = 0.069 eV per atom
Total DFT energy (no corrections) = -6.539 eV/atom

***

no.,formation enthalpy at 0 K (eV per atom)
1,-2.89
2,0.11
3,-0.44
4,-0.71
5,0.46
6,-3.60
7,0.14
8,-4.26
9,-2.58
10,-2.45
11,-0.08
12,-2.32
13,-2.32